VASP calculation (PBE-GGA) on Mg3Pd after structural relaxation.

Summary:
calculated total energy	-23.3	eV/cell

The structure in POSCAR format:
```
Mg3Pd
1.0
4.660 -0.426 0.147
-2.708 -3.153 2.156
-0.199 -4.583 -6.953
Pd Mg
2 6
direct
0.667 0.333 0.250
0.333 0.667 0.750
0.000 0.000 0.250
0.333 0.667 0.424
0.667 0.333 0.576
0.667 0.333 0.924
0.333 0.667 0.076
0.000 0.000 0.750
```